# 1
## Ho4NiB13 (PBE)

Data for Ho4NiB13 after structural relaxation.

CIF file:
```
data_Ho4NiB13
_chemical_formula_sum 'Ho8 Ni2 B26'
_symmetry_space_group_name_H-M 'P 4/m n c'
_symmetry_Int_Tables_number 128
_symmetry_space_group_name_Hall '-P 4 2n'
_cell_length_a 7.303
_cell_length_b 7.303
_cell_length_c 6.874
_cell_angle_alpha 90.00
_cell_angle_beta 90.00
_cell_angle_gamma 90.00
loop_
_atom_site_label
_atom_site_fract_x
_atom_site_fract_y
_atom_site_fract_z
Ho1 0.180 0.316 0.000
Ni1 0.000 0.000 0.500
B1 0.000 0.000 0.000
B2 0.040 0.830 0.243
B3 0.093 0.593 0.250
```

Calculated values
Size of the total moment: 0.0 μB/cell

# 2
## Ho2Ni15B6 (PBE)

Data for Ho2Ni15B6 after structural relaxation.

CIF file:
```
data_Ho2Ni15B6
_chemical_formula_sum 'Ho12 Ni90 B36'
_symmetry_space_group_name_H-M 'P 1 21/c 1'
_symmetry_Int_Tables_number 14
_cell_length_a 14.232
_cell_length_b 10.666
_cell_length_c 9.596
_cell_angle_alpha 90.00
_cell_angle_beta 94.50
_cell_angle_gamma 90.00
loop_
_symmetry_equiv_pos_as_xyz
'x,y,z'
'-x,-y,-z'
'-x,y+1/2,-z+1/2'
'x,-y+1/2,z+1/2'
loop_
_atom_site_label
_atom_site_fract_x
_atom_site_fract_y
_atom_site_fract_z
Ho1 0.026 0.125 0.208
Ho2 0.313 0.113 0.660
Ho3 0.361 0.650 0.564
Ni1 0.000 0.000 0.500
Ni2 0.009 0.234 0.463
Ni3 0.031 0.623 0.793
Ni4 0.074 0.042 0.944
Ni5 0.132 0.515 0.198
Ni6 0.144 0.749 0.179
Ni7 0.150 0.201 0.801
Ni8 0.152 0.684 0.433
Ni9 0.157 0.074 0.435
Ni10 0.179 0.208 0.061
Ni11 0.185 0.524 0.662
Ni12 0.249 0.028 0.916
Ni13 0.253 0.620 0.058
Ni14 0.288 0.711 0.825
Ni15 0.309 0.010 0.353
Ni16 0.313 0.240 0.402
Ni17 0.338 0.114 0.131
Ni18 0.387 0.618 0.270
Ni19 0.427 0.586 0.017
Ni20 0.433 0.066 0.925
Ni21 0.464 0.243 0.552
Ni22 0.471 0.221 0.298
Ni23 0.484 0.533 0.792
B1 0.063 0.604 0.577
B2 0.096 0.147 0.607
B3 0.110 0.626 0.008
B4 0.176 0.611 0.857
B5 0.227 0.147 0.256
B6 0.244 0.616 0.280
B7 0.424 0.697 0.831
B8 0.426 0.093 0.432
B9 0.481 0.078 0.128
```

Calculated values
Size of the total moment: 0.0 μB/cell

# 3
## HoNi2B2 (PBE)

Data for HoNi2B2 after structural relaxation.

CIF file:
```
data_HoNi2B2
_chemical_formula_sum 'Ho4 Ni8 B8'
_symmetry_space_group_name_H-M 'C 1 2/c 1'
_symmetry_Int_Tables_number 15
_cell_length_a 8.381
_cell_length_b 5.239
_cell_length_c 6.853
_cell_angle_alpha 90.00
_cell_angle_beta 126.87
_cell_angle_gamma 90.00
loop_
_symmetry_equiv_pos_as_xyz
'x,y,z'
'-x,-y,-z'
'-x,y,-z+1/2'
'x,-y,z+1/2'
'x+1/2,y+1/2,z'
'-x+1/2,-y+1/2,-z'
'-x+1/2,y+1/2,-z+1/2'
'x+1/2,-y+1/2,z+1/2'
loop_
_atom_site_label
_atom_site_fract_x
_atom_site_fract_y
_atom_site_fract_z
Ho1 0.000 0.118 0.250
Ni1 0.127 0.405 0.700
B1 0.170 0.325 0.023
```

# 4
## Ho2Ni3B6 (PBE)

Data for Ho2Ni3B6 after structural relaxation.

CIF file:
```
data_Ho2Ni3B6
_chemical_formula_sum 'Ho4 Ni6 B12'
_symmetry_space_group_name_H-M 'C m m m'
_symmetry_Int_Tables_number 65
_symmetry_space_group_name_Hall '-C 2 2'
_cell_length_a 7.707
_cell_length_b 8.670
_cell_length_c 3.467
_cell_angle_alpha 90.00
_cell_angle_beta 90.00
_cell_angle_gamma 90.00
loop_
_atom_site_label
_atom_site_fract_x
_atom_site_fract_y
_atom_site_fract_z
Ho1 0.000 0.223 0.000
Ni1 0.000 0.500 0.500
Ni2 0.226 0.500 0.000
B1 0.113 0.000 0.500
B2 0.235 0.350 0.500
```

# 5
## HoB3O6 (PBE)

Data for HoB3O6 after structural relaxation.

CIF file:
```
data_HoB3O6
_chemical_formula_sum 'Ho16 B48 O96'
_symmetry_space_group_name_H-M 'P n m a'
_symmetry_Int_Tables_number 62
_cell_length_a 16.007
_cell_length_b 7.432
_cell_length_c 12.296
_cell_angle_alpha 90.00
_cell_angle_beta 90.00
_cell_angle_gamma 90.00
loop_
_symmetry_equiv_pos_as_xyz
'x,y,z'
'-x,-y,-z'
'-x+1/2,-y,z+1/2'
'x+1/2,y,-z+1/2'
'x+1/2,-y+1/2,-z+1/2'
'-x+1/2,y+1/2,z+1/2'
'-x,y+1/2,-z'
'x,-y+1/2,z'
loop_
_atom_site_label
_atom_site_fract_x
_atom_site_fract_y
_atom_site_fract_z
Ho1 0.048 0.250 0.089
Ho2 0.121 0.750 0.509
Ho3 0.128 0.750 0.233
Ho4 0.172 0.250 0.434
B1 0.032 0.060 0.322
B2 0.057 0.073 0.846
B3 0.110 0.077 0.643
B4 0.153 0.578 0.983
B5 0.218 0.070 0.815
B6 0.242 0.069 0.129
O1 0.022 0.524 0.210
O2 0.049 0.250 0.899
O3 0.049 0.566 0.623
O4 0.066 0.250 0.302
O5 0.069 0.560 0.931
O6 0.078 0.250 0.605
O7 0.097 0.541 0.378
O8 0.129 0.074 0.765
O9 0.159 0.750 0.042
O10 0.164 0.066 0.065
O11 0.185 0.034 0.577
O12 0.218 0.565 0.899
O13 0.223 0.521 0.230
O14 0.224 0.750 0.639
O15 0.245 0.250 0.857
```

Calculated values
Size of the total moment: 0.0 μB/cell

# 6
## Ho4B6O15 (PBE)

Data for Ho4B6O15 after structural relaxation.

CIF file:
```
data_Ho4B6O15
_chemical_formula_sum 'Ho16 B24 O60'
_symmetry_space_group_name_H-M 'C 1 2/c 1'
_symmetry_Int_Tables_number 15
_cell_length_a 11.712
_cell_length_b 4.398
_cell_length_c 18.890
_cell_angle_alpha 90.00
_cell_angle_beta 96.43
_cell_angle_gamma 90.00
loop_
_symmetry_equiv_pos_as_xyz
'x,y,z'
'-x,-y,-z'
'-x,y,-z+1/2'
'x,-y,z+1/2'
'x+1/2,y+1/2,z'
'-x+1/2,-y+1/2,-z'
'-x+1/2,y+1/2,-z+1/2'
'x+1/2,-y+1/2,z+1/2'
loop_
_atom_site_label
_atom_site_fract_x
_atom_site_fract_y
_atom_site_fract_z
Ho1 0.134 0.198 0.099
Ho2 0.137 0.210 0.303
B1 0.068 0.273 0.694
B2 0.097 0.294 0.913
B3 0.169 0.191 0.474
O1 0.000 0.133 0.750
O2 0.014 0.176 0.622
O3 0.066 0.401 0.197
O4 0.085 0.374 0.429
O5 0.127 0.120 0.979
O6 0.181 0.258 0.861
O7 0.182 0.133 0.703
O8 0.208 0.297 0.549
```

Calculated values
Size of the total moment: 0.0 μB/cell

| no. | volume (Å³ per atom) | VASP energy (eV per atom) |
| --- | --- | --- |
| 1 | 10.18 | -6.650 |
| 2 | 10.52 | -6.317 |
| 3 | 12.04 | -6.466 |
| 4 | 10.53 | -6.631 |
| 5 | 9.14 | -8.218 |
| 6 | 9.67 | -8.270 |